LiCd4Ge5O15 after structural relaxation, computed with GGA-PBE.

Crystal system: triclinic
Total energy after the MP2020 corrections in eV per cell: -299.44
DFT formation energy in eV/atom: -1.871
Total moment in Bohr magnetons per cell: 2.0
Calculated volume in Å³/cell: 685
Symmetry: P-1

The structure in extended XYZ format:
```
50
Lattice="7.1956 0.0000 0.0000 -0.6925 8.0045 0.0000 -0.6399 -3.5700 11.8949" Properties=species:S:1:pos:R:3 pbc="T T T"
Li 0.6623 1.3115 4.6077
Li 5.2009 3.1229 7.2872
Cd 0.4730 2.5511 11.6779
Cd 1.4358 6.7775 3.1647
Cd 2.1536 -0.5328 6.6169
Cd 2.3586 0.1908 10.1014
Cd 3.5046 4.2436 1.7935
Cd 3.7096 4.9672 5.2780
Cd 4.4274 -2.3431 8.7302
Cd 5.3902 1.8833 0.2170
Ge 0.0382 3.5974 2.0728
Ge 0.2539 4.2116 5.3022
Ge 0.2471 5.1410 9.1592
Ge 1.8567 1.3072 0.4886
Ge 1.9520 2.8392 7.6938
Ge 3.9112 1.5952 4.2011
Ge 4.0065 3.1272 11.4063
Ge 5.6161 -0.7066 2.7357
Ge 5.6093 0.2228 6.5928
Ge 5.8250 0.8370 9.8221
O -0.0802 -0.8406 3.6668
O 0.0050 -0.1157 5.8909
O -0.0294 3.2233 3.8292
O 0.4786 1.9557 1.4412
O 0.3938 -2.7363 10.8508
O 0.1666 0.6089 10.6016
O 0.9052 2.8218 6.2356
O 1.2107 4.8792 1.8178
O 0.9478 3.4891 9.0590
O 1.4088 5.5254 5.1935
O 2.3682 -0.2333 1.1377
O 2.1493 -1.6721 8.6945
O 2.5164 0.5640 4.5194
O 2.3972 1.2038 8.0631
O 3.1071 2.5159 0.2794
O 2.7561 1.9185 11.6155
O 3.4660 3.2306 3.8318
O 3.3468 3.8704 7.3755
O 3.7139 6.1065 3.2005
O 3.4950 4.6677 10.7572
O 4.4544 -1.0910 6.7014
O 4.9154 0.9453 2.8359
O 4.6525 -0.4448 10.0771
O 4.9580 1.6126 5.6593
O 5.6966 3.8255 1.2933
O 5.4694 7.1708 1.0441
O 5.3846 2.4788 10.4537
O 5.8926 1.2112 8.0657
O 5.8582 4.5501 6.0040
O 5.9434 5.2750 8.2281
```